No. 1
Ge2N2O: relaxed, PBE.

Results
- V: 428.1 Å³/cell
- SG: P-3m1, No. 164
- Energy of formation: -0.58 eV/atom

Cell: 5.8631 5.8631 14.3793 Å, 90.00 90.00 120.00°
Last column: nearest neighbours and their distance in Å.
Atoms (fractional coordinates):
Ge (0.6667, 0.3333, 0.9549)  4 N 1.90
Ge (0.6667, 0.3333, 0.3306)  3 O 1.95, 3 N 2.01
Ge (0.5000, 0.0000, 0.5000)  2 O 1.93, 4 N 2.03
Ge (0.8315, 0.1685, 0.1649)  2 O 1.94, 4 N 1.99-2.02
Ge (0.6631, 0.8315, 0.8351)  2 O 1.94, 4 N 1.99-2.02
Ge (0.1685, 0.3369, 0.8351)  2 O 1.94, 4 N 1.99-2.02
Ge (0.0000, 0.0000, 0.6292)  4 N 1.89-1.92
Ge (0.5000, 0.5000, 0.5000)  2 O 1.93, 4 N 2.03
Ge (0.0000, 0.0000, 0.3708)  4 N 1.89-1.92
Ge (0.0000, 0.0000, 0.0000)  6 N 2.02
Ge (0.3369, 0.1685, 0.1649)  2 O 1.94, 4 N 1.99-2.02
Ge (0.8315, 0.6631, 0.1649)  2 O 1.94, 4 N 1.99-2.02
Ge (0.1685, 0.8315, 0.8351)  2 O 1.94, 4 N 1.99-2.02
Ge (0.0000, 0.5000, 0.5000)  2 O 1.93, 4 N 2.03
Ge (0.3333, 0.6667, 0.6694)  3 O 1.95, 3 N 2.01
Ge (0.3333, 0.6667, 0.0451)  4 N 1.90
N (0.6667, 0.3333, 0.0872)  4 Ge 1.90-2.01
N (0.8227, 0.1773, 0.4165)  4 Ge 1.92-2.03
N (0.8439, 0.1561, 0.9126)  4 Ge 1.90-2.02
N (0.1773, 0.3546, 0.5835)  4 Ge 1.92-2.03
N (0.6454, 0.8227, 0.5835)  4 Ge 1.92-2.03
N (0.6879, 0.8439, 0.0874)  4 Ge 1.90-2.02
N (0.1561, 0.3121, 0.0874)  4 Ge 1.90-2.02
N (0.0000, 0.0000, 0.7605)  4 Ge 1.89-2.02
N (0.0000, 0.0000, 0.2395)  4 Ge 1.89-2.02
N (0.8439, 0.6879, 0.9126)  4 Ge 1.90-2.02
N (0.3121, 0.1561, 0.9126)  4 Ge 1.90-2.02
N (0.8227, 0.6454, 0.4165)  4 Ge 1.92-2.03
N (0.3546, 0.1773, 0.4165)  4 Ge 1.92-2.03
N (0.1561, 0.8439, 0.0874)  4 Ge 1.90-2.02
N (0.1773, 0.8227, 0.5835)  4 Ge 1.92-2.03
N (0.3333, 0.6667, 0.9128)  4 Ge 1.90-2.01
O (0.5208, 0.4792, 0.2424)  3 Ge 1.94-1.95
O (0.6667, 0.3333, 0.5644)  3 Ge 1.93
O (0.9584, 0.4792, 0.2424)  3 Ge 1.94-1.95
O (0.5208, 0.0416, 0.2424)  3 Ge 1.94-1.95
O (0.0416, 0.5208, 0.7576)  3 Ge 1.94-1.95
O (0.4792, 0.9584, 0.7576)  3 Ge 1.94-1.95
O (0.3333, 0.6667, 0.4356)  3 Ge 1.93
O (0.4792, 0.5208, 0.7576)  3 Ge 1.94-1.95

=====

No. 2
Ge3NO6: relaxed, PBE.

Results
- V: 1329.2 Å³/cell
- SG: I-43d, No. 220
- Energy of formation: -1.32 eV/atom

Cell: 11.9970 11.9970 11.9970 Å, 109.47 109.47 109.47°
Last column: nearest neighbours and their distance in Å.
Atoms (fractional coordinates):
Ge (0.7000, 0.4666, 0.4264)  4 O 1.76-1.78
Ge (0.8000, 0.7264, 0.2666)  4 O 1.76-1.78
Ge (0.4598, 0.0334, 0.2334)  4 O 1.76-1.78
Ge (0.4666, 0.4264, 0.7000)  4 O 1.76-1.78
Ge (0.2000, 0.9264, 0.9666)  4 O 1.76-1.78
Ge (0.0402, 0.7736, 0.0736)  4 O 1.76-1.78
Ge (0.7264, 0.2666, 0.8000)  4 O 1.76-1.78
Ge (0.3000, 0.7666, 0.2264)  4 O 1.76-1.78
Ge (0.0334, 0.2334, 0.4598)  4 O 1.76-1.78
Ge (0.9598, 0.7334, 0.5334)  4 O 1.76-1.78
Ge (0.7736, 0.0736, 0.0402)  4 O 1.76-1.78
Ge (0.5402, 0.5736, 0.2736)  4 O 1.76-1.78
Ge (0.4264, 0.7000, 0.4666)  4 O 1.76-1.78
Ge (0.9666, 0.2000, 0.9264)  4 O 1.76-1.78
Ge (0.2334, 0.4598, 0.0334)  4 O 1.76-1.78
Ge (0.5334, 0.9598, 0.7334)  4 O 1.76-1.78
Ge (0.0736, 0.0402, 0.7736)  4 O 1.76-1.78
Ge (0.2736, 0.5402, 0.5736)  4 O 1.76-1.78
Ge (0.2666, 0.8000, 0.7264)  4 O 1.76-1.78
Ge (0.2264, 0.3000, 0.7666)  4 O 1.76-1.78
Ge (0.9264, 0.9666, 0.2000)  4 O 1.76-1.78
Ge (0.7666, 0.2264, 0.3000)  4 O 1.76-1.78
Ge (0.5736, 0.2736, 0.5402)  4 O 1.76-1.78
Ge (0.7334, 0.5334, 0.9598)  4 O 1.76-1.78
N (0.7716, 0.7716, 0.7716)  6 O 2.96-3.29
N (0.7284, 0.0000, 0.5000)  6 O 2.96-3.29
N (0.5000, 0.7284, 0.0000)  6 O 2.96-3.29
N (0.2716, 0.2716, 0.2716)  6 O 2.96-3.29
N (0.0000, 0.5000, 0.7284)  6 O 2.96-3.29
N (0.2284, 0.0000, 0.5000)  6 O 2.96-3.29
N (0.0000, 0.5000, 0.2284)  6 O 2.96-3.29
N (0.5000, 0.2284, 0.0000)  6 O 2.96-3.29
O (0.4846, 0.5949, 0.3944)  2 Ge 1.76-1.77
O (0.0154, 0.9098, 0.6102)  2 Ge 1.76-1.77
O (0.2996, 0.9051, 0.8898)  2 Ge 1.76-1.77
O (0.5949, 0.3944, 0.4846)  2 Ge 1.76-1.77
O (0.9846, 0.8944, 0.0949)  2 Ge 1.76-1.77
O (0.2004, 0.5902, 0.1056)  2 Ge 1.76-1.77
O (0.9098, 0.6102, 0.0154)  2 Ge 1.76-1.77
O (0.5154, 0.1102, 0.4098)  2 Ge 1.76-1.77
O (0.9051, 0.8898, 0.2996)  2 Ge 1.76-1.77
O (0.7996, 0.3898, 0.4051)  2 Ge 1.76-1.77
O (0.5902, 0.1056, 0.2004)  2 Ge 1.76-1.77
O (0.7004, 0.6056, 0.0902)  2 Ge 1.76-1.77
O (0.3944, 0.4846, 0.5949)  2 Ge 1.76-1.77
O (0.0949, 0.9846, 0.8944)  2 Ge 1.76-1.77
O (0.8898, 0.2996, 0.9051)  2 Ge 1.76-1.77
O (0.4051, 0.7996, 0.3898)  2 Ge 1.76-1.77
O (0.1056, 0.2004, 0.5902)  2 Ge 1.76-1.77
O (0.0902, 0.7004, 0.6056)  2 Ge 1.76-1.77
O (0.6102, 0.0154, 0.9098)  2 Ge 1.76-1.77
O (0.4098, 0.5154, 0.1102)  2 Ge 1.76-1.77
O (0.8944, 0.0949, 0.9846)  2 Ge 1.76-1.77
O (0.1102, 0.4098, 0.5154)  2 Ge 1.76-1.77
O (0.6056, 0.0902, 0.7004)  2 Ge 1.76-1.77
O (0.3898, 0.4051, 0.7996)  2 Ge 1.76-1.77
O (0.8193, 0.6420, 0.5482)  2 Ge 1.78
O (0.6807, 0.7289, 0.3227)  2 Ge 1.78
O (0.4062, 0.8580, 0.1773)  2 Ge 1.78
O (0.6420, 0.5482, 0.8193)  2 Ge 1.78
O (0.3193, 0.0482, 0.1420)  2 Ge 1.78
O (0.0938, 0.7711, 0.9518)  2 Ge 1.78
O (0.7289, 0.3227, 0.6807)  2 Ge 1.78
O (0.1807, 0.8227, 0.2289)  2 Ge 1.78
O (0.8580, 0.1773, 0.4062)  2 Ge 1.78
O (0.9062, 0.6773, 0.3580)  2 Ge 1.78
O (0.7711, 0.9518, 0.0938)  2 Ge 1.78
O (0.5938, 0.4518, 0.2711)  2 Ge 1.78
O (0.5482, 0.8193, 0.6420)  2 Ge 1.78
O (0.1420, 0.3193, 0.0482)  2 Ge 1.78
O (0.1773, 0.4062, 0.8580)  2 Ge 1.78
O (0.3580, 0.9062, 0.6773)  2 Ge 1.78
O (0.9518, 0.0938, 0.7711)  2 Ge 1.78
O (0.2711, 0.5938, 0.4518)  2 Ge 1.78
O (0.3227, 0.6807, 0.7289)  2 Ge 1.78
O (0.2289, 0.1807, 0.8227)  2 Ge 1.78
O (0.0482, 0.1420, 0.3193)  2 Ge 1.78
O (0.8227, 0.2289, 0.1807)  2 Ge 1.78
O (0.4518, 0.2711, 0.5938)  2 Ge 1.78
O (0.6773, 0.3580, 0.9062)  2 Ge 1.78

=====

| no. | energy (eV per cell) |
| --- | --- |
| 1 | -264.80 |
| 2 | -487.86 |